1.
Below is a relaxed Fe2H11Se3O15 crystal, with properties calculated at the GGA+U level.

Summary:
Total energy after the MP2020 corrections: -5.651 eV per atom
Symmetry: P2_1/c (14)
E_form: -1.1680 eV per atom

```
Fe2H11Se3O15
1.0
17.022 0.000 0.000
0.000 7.853 0.000
-1.308 0.000 9.978
Fe H Se O
8 44 12 60
direct
0.097 0.238 0.453
0.097 0.262 0.953
0.392 0.243 0.907
0.392 0.257 0.407
0.608 0.743 0.593
0.608 0.757 0.093
0.903 0.738 0.047
0.903 0.762 0.547
0.071 0.545 0.091
0.071 0.955 0.591
0.138 0.593 0.995
0.138 0.907 0.495
0.140 0.652 0.406
0.140 0.848 0.906
0.201 0.727 0.843
0.201 0.773 0.343
0.224 0.709 0.606
0.224 0.791 0.106
0.277 0.603 0.715
0.277 0.897 0.215
0.278 0.127 0.001
0.278 0.373 0.501
0.339 0.660 0.437
0.339 0.840 0.937
0.354 0.549 0.996
0.354 0.951 0.496
0.390 0.065 0.620
0.390 0.435 0.120
0.423 0.739 0.431
0.423 0.761 0.931
0.577 0.239 0.069
0.577 0.261 0.569
0.610 0.565 0.880
0.610 0.935 0.380
0.646 0.049 0.504
0.646 0.451 0.004
0.661 0.160 0.063
0.661 0.340 0.563
0.722 0.627 0.499
0.722 0.873 0.999
0.723 0.103 0.785
0.723 0.397 0.285
0.776 0.209 0.894
0.776 0.291 0.394
0.799 0.227 0.657
0.799 0.273 0.157
0.860 0.152 0.094
0.860 0.348 0.594
0.862 0.093 0.505
0.862 0.407 0.005
0.929 0.045 0.409
0.929 0.455 0.909
0.018 0.035 0.185
0.018 0.465 0.685
0.225 0.224 0.724
0.225 0.276 0.224
0.465 0.015 0.185
0.465 0.485 0.685
0.535 0.515 0.315
0.535 0.985 0.815
0.775 0.724 0.776
0.775 0.776 0.276
0.982 0.535 0.315
0.982 0.965 0.815
0.002 0.135 0.333
0.002 0.365 0.833
0.022 0.212 0.084
0.022 0.288 0.584
0.079 0.029 0.867
0.079 0.471 0.367
0.116 0.003 0.548
0.116 0.497 0.048
0.168 0.163 0.322
0.168 0.337 0.822
0.177 0.749 0.428
0.177 0.751 0.928
0.198 0.172 0.073
0.198 0.328 0.573
0.246 0.707 0.702
0.246 0.793 0.202
0.317 0.163 0.261
0.317 0.337 0.761
0.320 0.082 0.947
0.320 0.418 0.447
0.355 0.072 0.533
0.355 0.428 0.033
0.368 0.732 0.940
0.368 0.768 0.440
0.437 0.048 0.790
0.437 0.452 0.290
0.472 0.114 0.343
0.472 0.386 0.843
0.473 0.181 0.070
0.473 0.319 0.570
0.527 0.681 0.430
0.527 0.819 0.930
0.528 0.614 0.157
0.528 0.886 0.657
0.563 0.548 0.710
0.563 0.952 0.210
0.632 0.232 0.560
0.632 0.268 0.060
0.645 0.572 0.967
0.645 0.928 0.467
0.680 0.582 0.553
0.680 0.918 0.053
0.683 0.663 0.239
0.683 0.837 0.739
0.754 0.207 0.798
0.754 0.293 0.298
0.802 0.672 0.427
0.802 0.828 0.927
0.823 0.249 0.072
0.823 0.251 0.572
0.832 0.663 0.178
0.832 0.837 0.678
0.884 0.503 0.952
0.884 0.997 0.452
0.921 0.529 0.633
0.921 0.971 0.133
0.978 0.712 0.416
0.978 0.788 0.916
0.998 0.635 0.167
0.998 0.865 0.667
```

2.
Below is a relaxed Fe11Si4H12O27 crystal, with properties calculated at the GGA+U level.

Summary:
Total energy after the MP2020 corrections: -6.852 eV per atom
Symmetry: P1 (1)
E_form: -1.4966 eV per atom

```
Fe11Si4H12O27
1.0
5.532 0.000 0.000
-2.745 8.672 0.000
-0.091 -0.528 12.079
Fe Si H O
11 4 12 27
direct
0.000 0.000 0.000
0.021 0.379 0.977
0.133 0.607 0.197
0.240 0.827 0.420
0.355 0.048 0.643
0.461 0.269 0.864
0.578 0.493 0.086
0.690 0.716 0.309
0.775 0.557 0.555
0.798 0.935 0.532
0.913 0.159 0.756
0.118 0.235 0.219
0.329 0.677 0.666
0.440 0.896 0.882
0.673 0.342 0.326
0.014 0.677 0.998
0.106 0.910 0.224
0.242 0.117 0.431
0.254 0.533 0.410
0.351 0.359 0.674
0.441 0.563 0.879
0.553 0.779 0.101
0.582 0.185 0.063
0.662 0.015 0.334
0.752 0.223 0.549
0.886 0.449 0.770
0.934 0.863 0.737
0.024 0.587 0.670
0.074 0.070 0.151
0.083 0.816 0.267
0.104 0.172 0.915
0.159 0.862 0.936
0.188 0.028 0.479
0.191 0.383 0.141
0.301 0.623 0.365
0.302 0.259 0.712
0.359 0.253 0.311
0.391 0.819 0.579
0.403 0.470 0.923
0.434 0.751 0.792
0.472 0.550 0.629
0.514 0.695 0.154
0.517 0.059 0.815
0.606 0.921 0.375
0.628 0.277 0.019
0.648 0.905 0.981
0.730 0.136 0.599
0.732 0.378 0.459
0.749 0.495 0.252
0.829 0.361 0.819
0.845 0.226 0.284
0.876 0.731 0.467
0.957 0.582 0.041
0.977 0.952 0.691
```

3.
Below is a relaxed V4Fe2HO12 crystal, with properties calculated at the GGA+U level.

Summary:
Total energy after the MP2020 corrections: -8.222 eV per atom
Symmetry: P2_1 (4)
E_form: -2.1143 eV per atom

```
V4Fe2HO12
1.0
5.002 0.000 0.000
0.000 8.993 0.000
-0.184 0.000 9.782
V Fe H O
8 4 2 24
direct
0.092 0.000 0.353
0.108 0.673 0.945
0.374 0.012 0.843
0.392 0.344 0.446
0.608 0.844 0.554
0.626 0.512 0.157
0.892 0.173 0.055
0.908 0.500 0.647
0.110 0.665 0.361
0.408 0.345 0.867
0.592 0.845 0.133
0.890 0.165 0.639
0.459 0.588 0.742
0.541 0.088 0.258
0.070 0.360 0.741
0.073 0.654 0.771
0.089 0.011 0.749
0.205 0.177 0.972
0.210 0.498 0.506
0.223 0.174 0.471
0.286 0.514 0.995
0.288 0.845 0.472
0.295 0.837 0.978
0.419 0.004 0.244
0.433 0.678 0.223
0.435 0.369 0.275
0.565 0.869 0.725
0.567 0.178 0.777
0.581 0.504 0.756
0.705 0.337 0.022
0.712 0.345 0.528
0.714 0.014 0.005
0.777 0.674 0.529
0.790 0.998 0.494
0.795 0.677 0.028
0.911 0.511 0.251
0.927 0.154 0.229
0.930 0.860 0.259
```

4.
Below is a relaxed KLaHfFeO6 crystal, with properties calculated at the GGA+U level.

Summary:
Total energy after the MP2020 corrections: -8.231 eV per atom
Symmetry: F-43m (216)
E_form: -2.8150 eV per atom

```
KLaHfFeO6
1.0
0.000 4.013 4.013
4.013 0.000 4.013
4.013 4.013 0.000
K La Hf Fe O
1 1 1 1 6
direct
0.000 0.000 0.000
0.500 0.500 0.500
0.750 0.750 0.750
0.250 0.250 0.250
0.006 0.006 0.494
0.006 0.494 0.006
0.006 0.494 0.494
0.494 0.006 0.006
0.494 0.006 0.494
0.494 0.494 0.006
```